An optimized crystal structure of Li4WO6, computed with PBE+U.

Unit cell a=5.461 b=8.761 c=5.309 alpha=90.00 beta=115.70 gamma=90.00
Space group C2/m (No. 12)
Symmetry-distinct sites (fractional):
Li 0.000 0.155 0.000 [4 per cell]
Li 0.000 0.318 0.500 [4 per cell]
W 0.000 0.500 0.000 [2 per cell]
O 0.213 0.500 0.785 [4 per cell]
O 0.228 0.338 0.235 [8 per cell]

Summary:
- Volume: 229 Å³/cell
- MP2020-corrected energy: -144.3 eV/cell
- ΔH_f (0 K): -1.99 eV/atom

An optimized crystal structure of Li3Co3OF7, computed with PBE+U.

Unit cell a=10.509 b=6.078 c=10.499 alpha=90.00 beta=109.54 gamma=90.00
Space group Cc (No. 9)
Symmetry-distinct sites (fractional):
Li 0.000 0.005 0.000 [4 per cell]
Li 0.188 0.242 0.312 [4 per cell]
Li 0.316 0.236 0.683 [4 per cell]
Co 0.257 0.243 0.006 [4 per cell]
Co 0.494 0.247 0.243 [4 per cell]
Co 0.495 0.005 0.005 [4 per cell]
O 0.382 0.026 0.121 [4 per cell]
F 0.117 0.239 0.619 [4 per cell]
F 0.119 0.025 0.874 [4 per cell]
F 0.121 0.252 0.114 [4 per cell]
F 0.124 0.487 0.886 [4 per cell]
F 0.381 0.261 0.883 [4 per cell]
F 0.381 0.499 0.117 [4 per cell]
F 0.386 0.248 0.378 [4 per cell]

Summary:
- Energy above the most stable polymorph in this dataset: 2 meV per atom
- Volume: 632 Å³/cell
- MP2020-corrected energy: -321.9 eV/cell
- ΔH_f (0 K): -2.50 eV/atom

An optimized crystal structure of VP2NO8, computed with PBE+U.

Unit cell a=5.069 b=8.548 c=14.864 alpha=90.00 beta=92.76 gamma=90.00
Space group P2_1/c (No. 14)
Symmetry-distinct sites (fractional):
V 0.243 0.038 0.348 [4 per cell]
P 0.236 0.170 0.559 [4 per cell]
P 0.268 0.730 0.678 [4 per cell]
N 0.243 0.524 0.405 [4 per cell]
O 0.034 0.610 0.912 [4 per cell]
O 0.053 0.642 0.198 [4 per cell]
O 0.240 0.600 0.751 [4 per cell]
O 0.242 0.162 0.455 [4 per cell]
O 0.245 0.669 0.584 [4 per cell]
O 0.272 0.161 0.093 [4 per cell]
O 0.455 0.063 0.600 [4 per cell]
O 0.461 0.187 0.297 [4 per cell]

Summary:
- Volume: 643 Å³/cell
- MP2020-corrected energy: -350.6 eV/cell
- ΔH_f (0 K): -1.65 eV/atom

An optimized crystal structure of Li9Co7O16, computed with PBE+U.

Unit cell a=2.980 b=9.867 c=10.275 alpha=73.43 beta=81.74 gamma=88.59
Space group P-1 (No. 2)
Symmetry-distinct sites (fractional):
Li 0.000 0.000 0.000 [1 per cell]
Li 0.065 0.314 0.872 [2 per cell]
Li 0.182 0.938 0.626 [2 per cell]
Li 0.313 0.561 0.374 [2 per cell]
Li 0.439 0.183 0.123 [2 per cell]
Co 0.125 0.624 0.747 [2 per cell]
Co 0.254 0.248 0.503 [2 per cell]
Co 0.378 0.880 0.241 [2 per cell]
Co 0.500 0.500 0.000 [1 per cell]
O 0.034 0.648 0.935 [2 per cell]
O 0.061 0.982 0.807 [2 per cell]
O 0.199 0.271 0.683 [2 per cell]
O 0.215 0.601 0.566 [2 per cell]
O 0.276 0.897 0.427 [2 per cell]
O 0.350 0.225 0.319 [2 per cell]
O 0.398 0.521 0.188 [2 per cell]
O 0.457 0.843 0.083 [2 per cell]

Summary:
- Energy above the most stable polymorph in this dataset: 81 meV per atom
- Volume: 287 Å³/cell
- MP2020-corrected energy: -199.7 eV/cell
- ΔH_f (0 K): -1.67 eV/atom

An optimized crystal structure of Mn12O7F17, computed with PBE+U.

Unit cell a=5.395 b=5.435 c=15.096 alpha=84.56 beta=84.41 gamma=88.40
Space group P1 (No. 1)
Symmetry-distinct sites (fractional):
Mn 0.000 0.000 0.000 [1 per cell]
Mn 0.002 0.057 0.328 [1 per cell]
Mn 0.026 0.502 0.152 [1 per cell]
Mn 0.369 0.969 0.147 [1 per cell]
Mn 0.405 0.938 0.816 [1 per cell]
Mn 0.449 0.904 0.486 [1 per cell]
Mn 0.487 0.464 0.998 [1 per cell]
Mn 0.501 0.386 0.653 [1 per cell]
Mn 0.532 0.435 0.317 [1 per cell]
Mn 0.944 0.584 0.817 [1 per cell]
Mn 0.950 0.071 0.658 [1 per cell]
Mn 0.977 0.574 0.491 [1 per cell]
O 0.093 0.854 0.748 [1 per cell]
O 0.144 0.838 0.419 [1 per cell]
O 0.185 0.234 0.088 [1 per cell]
O 0.251 0.732 0.075 [1 per cell]
O 0.634 0.121 0.724 [1 per cell]
O 0.807 0.326 0.575 [1 per cell]
O 0.856 0.302 0.248 [1 per cell]
F 0.040 0.787 0.239 [1 per cell]
F 0.168 0.347 0.407 [1 per cell]
F 0.172 0.697 0.906 [1 per cell]
F 0.174 0.354 0.734 [1 per cell]
F 0.280 0.101 0.588 [1 per cell]
F 0.305 0.592 0.568 [1 per cell]
F 0.323 0.183 0.915 [1 per cell]
F 0.340 0.169 0.256 [1 per cell]
F 0.539 0.723 0.220 [1 per cell]
F 0.645 0.610 0.744 [1 per cell]
F 0.665 0.770 0.899 [1 per cell]
F 0.669 0.140 0.070 [1 per cell]
F 0.673 0.637 0.412 [1 per cell]
F 0.679 0.133 0.402 [1 per cell]
F 0.783 0.640 0.061 [1 per cell]
F 0.785 0.819 0.564 [1 per cell]
F 0.836 0.307 0.902 [1 per cell]

Summary:
- Energy above the most stable polymorph in this dataset: 32 meV per atom
- Volume: 438 Å³/cell
- MP2020-corrected energy: -268.7 eV/cell
- ΔH_f (0 K): -2.54 eV/atom

An optimized crystal structure of MgVCr2Fe3P6O24, computed with PBE+U.

Unit cell a=8.606 b=8.620 c=8.627 alpha=60.32 beta=60.42 gamma=60.41
Space group P1 (No. 1)
Symmetry-distinct sites (fractional):
Mg 0.000 0.000 0.000 [1 per cell]
V 0.603 0.606 0.604 [1 per cell]
Cr 0.254 0.255 0.254 [1 per cell]
Cr 0.746 0.745 0.747 [1 per cell]
Fe 0.122 0.121 0.121 [1 per cell]
Fe 0.400 0.399 0.399 [1 per cell]
Fe 0.879 0.878 0.878 [1 per cell]
P 0.001 0.301 0.697 [1 per cell]
P 0.208 0.792 0.500 [1 per cell]
P 0.302 0.698 0.002 [1 per cell]
P 0.501 0.208 0.792 [1 per cell]
P 0.698 0.001 0.301 [1 per cell]
P 0.793 0.499 0.208 [1 per cell]
O 0.000 0.358 0.200 [1 per cell]
O 0.001 0.798 0.641 [1 per cell]
O 0.060 0.250 0.862 [1 per cell]
O 0.138 0.749 0.940 [1 per cell]
O 0.158 0.319 0.497 [1 per cell]
O 0.202 0.998 0.359 [1 per cell]
O 0.250 0.862 0.062 [1 per cell]
O 0.270 0.654 0.401 [1 per cell]
O 0.320 0.497 0.158 [1 per cell]
O 0.344 0.731 0.600 [1 per cell]
O 0.360 0.200 0.999 [1 per cell]
O 0.401 0.270 0.655 [1 per cell]
O 0.497 0.157 0.320 [1 per cell]
O 0.503 0.681 0.845 [1 per cell]
O 0.598 0.346 0.732 [1 per cell]
O 0.642 0.001 0.798 [1 per cell]
O 0.656 0.399 0.268 [1 per cell]
O 0.680 0.842 0.502 [1 per cell]
O 0.730 0.599 0.343 [1 per cell]
O 0.749 0.941 0.136 [1 per cell]
O 0.800 0.640 0.000 [1 per cell]
O 0.844 0.502 0.679 [1 per cell]
O 0.863 0.059 0.251 [1 per cell]
O 0.940 0.137 0.749 [1 per cell]

Summary:
- Energy above the most stable polymorph in this dataset: 52 meV per atom
- Volume: 457 Å³/cell
- MP2020-corrected energy: -296.2 eV/cell
- ΔH_f (0 K): -2.42 eV/atom